1.
Density functional theory data (GGA-PBE) for a relaxed ErSi2Ni2 crystal.

Summary:
Space group ... I4/mmm (139)
E ... -62.51 eV per cell
Theoretical density ... 7.6 g/cm³

Structure (POSCAR):
```
ErSi2Ni2
1.0
3.953 0.000 0.000
0.000 3.953 0.000
0.000 0.000 9.514
Er Si Ni
2 4 4
Cartesian
0.000 0.000 0.000 Er
1.976 1.976 4.757 Er
0.000 0.000 3.560 Si
0.000 0.000 5.954 Si
1.976 1.976 1.197 Si
1.976 1.976 8.317 Si
0.000 1.976 2.379 Ni
0.000 1.976 7.136 Ni
1.976 0.000 2.379 Ni
1.976 0.000 7.136 Ni
```


2.
Density functional theory data (GGA-PBE) for a relaxed SbP4O12 crystal.

Summary:
Space group ... C2/c (15)
Magnetization ... 0.004 Bohr magnetons per cell
E ... -233.99 eV per cell
Theoretical density ... 3.0 g/cm³

Structure (POSCAR):
```
SbP4O12
1.0
6.140 -4.281 0.000
6.140 4.281 0.000
-4.825 0.000 9.104
Sb P O
2 8 24
Cartesian
3.070 2.140 0.000 Sb
0.657 -2.140 4.552 Sb
-1.091 0.048 6.279 P
1.321 -0.048 1.727 P
3.493 2.256 4.802 P
1.549 2.256 8.853 P
5.906 -2.256 0.251 P
3.962 -2.256 4.301 P
6.134 0.048 7.377 P
8.546 -0.048 2.825 P
2.399 3.070 3.906 O
1.242 3.395 7.686 O
-1.235 0.589 7.685 O
3.800 3.395 5.969 O
5.097 2.229 0.630 O
2.630 0.720 1.533 O
7.469 3.070 0.645 O
4.770 2.229 3.922 O
1.177 -0.589 3.133 O
2.876 1.065 5.377 O
0.217 -0.720 6.085 O
2.167 1.065 8.278 O
5.288 -1.065 0.825 O
7.238 0.720 3.019 O
4.579 -1.065 3.727 O
6.278 0.589 5.971 O
2.685 -2.229 5.182 O
-0.014 -3.070 8.458 O
4.826 -0.720 7.571 O
2.358 -2.229 8.474 O
3.655 -3.395 3.135 O
8.690 -0.589 1.419 O
6.213 -3.395 1.417 O
5.056 -3.070 5.197 O
```


3.
Density functional theory data (GGA-PBE) for a relaxed Sc2P7Ru12 crystal.

Summary:
Space group ... P-6 (174)
E ... -177.01 eV per cell
Theoretical density ... 8.5 g/cm³

Structure (POSCAR):
```
Sc2P7Ru12
1.0
9.362 0.000 0.000
-4.681 8.108 0.000
0.000 0.000 3.918
Sc P Ru
2 7 12
Cartesian
0.000 0.000 0.000 Sc
0.000 5.405 1.959 Sc
-2.131 5.209 0.000 P
2.233 0.415 1.959 P
1.235 3.658 0.000 P
0.896 7.348 0.000 P
4.681 2.703 0.000 P
3.924 5.966 1.959 P
7.885 1.726 1.959 P
-3.092 6.320 1.959 Ru
-1.000 3.258 0.000 Ru
0.753 2.270 1.959 Ru
-1.359 7.344 0.000 Ru
2.627 1.816 0.000 Ru
4.511 1.007 1.959 Ru
3.298 3.697 1.959 Ru
2.359 5.613 0.000 Ru
2.339 7.625 1.959 Ru
6.475 1.367 0.000 Ru
4.940 4.924 0.000 Ru
6.234 3.403 1.959 Ru
```


4.
Density functional theory data (GGA-PBE) for a relaxed SiO2 crystal.

Summary:
Space group ... P-42_1c (114)
Magnetization ... 0.000 Bohr magnetons per cell
E ... -375.28 eV per cell
Theoretical density ... 2.3 g/cm³

Structure (POSCAR):
```
SiO2
1.0
11.593 0.000 0.000
0.000 11.593 0.000
0.000 0.000 5.192
Si O
16 32
Cartesian
0.880 1.805 2.541 Si
1.130 8.114 3.754 Si
1.805 10.713 2.652 Si
2.318 6.927 1.158 Si
3.479 1.130 1.438 Si
3.992 4.916 5.137 Si
4.667 2.318 4.034 Si
4.916 7.601 0.056 Si
6.677 3.992 0.056 Si
6.927 9.276 4.034 Si
7.601 6.677 5.137 Si
8.114 10.464 1.438 Si
9.276 4.667 1.158 Si
9.789 0.880 2.652 Si
10.464 3.479 3.754 Si
10.713 9.789 2.541 Si
0.446 3.067 3.481 O
0.511 10.214 1.734 O
1.258 7.416 0.006 O
1.379 0.511 3.458 O
1.620 7.055 2.602 O
2.086 9.470 3.674 O
2.124 2.086 1.519 O
2.729 5.350 0.885 O
3.067 11.147 1.711 O
3.673 7.882 1.077 O
3.711 3.673 4.115 O
4.177 1.258 5.186 O
4.417 6.307 4.330 O
4.539 1.620 2.590 O
5.286 4.417 0.862 O
5.350 8.864 4.308 O
6.243 2.729 4.308 O
6.307 7.176 0.862 O
7.055 9.974 2.590 O
7.176 5.286 4.330 O
7.416 10.335 5.186 O
7.882 7.921 4.115 O
7.921 3.711 1.077 O
8.526 0.446 1.711 O
8.864 6.243 0.885 O
9.470 9.508 1.519 O
9.508 2.124 3.674 O
9.974 4.539 2.602 O
10.214 11.083 3.458 O
10.335 4.177 0.006 O
11.083 1.379 1.734 O
11.147 8.526 3.481 O
```


5.
Density functional theory data (GGA-PBE) for a relaxed Zn2NiRh crystal.

Summary:
Space group ... Fm-3m (225)
E ... -68.11 eV per cell
Theoretical density ... 9.3 g/cm³

Structure (POSCAR):
```
Zn2NiRh
1.0
5.924 0.000 0.000
0.000 5.924 0.000
0.000 0.000 5.924
Zn Ni Rh
8 4 4
Cartesian
1.481 1.481 1.481 Zn
1.481 1.481 4.443 Zn
1.481 4.443 1.481 Zn
1.481 4.443 4.443 Zn
4.443 1.481 1.481 Zn
4.443 1.481 4.443 Zn
4.443 4.443 1.481 Zn
4.443 4.443 4.443 Zn
0.000 0.000 0.000 Ni
0.000 2.962 2.962 Ni
2.962 0.000 2.962 Ni
2.962 2.962 0.000 Ni
0.000 0.000 2.962 Rh
0.000 2.962 0.000 Rh
2.962 0.000 0.000 Rh
2.962 2.962 2.962 Rh
```


6.
Density functional theory data (GGA-PBE) for a relaxed PrMgTl crystal.

Summary:
Space group ... P-62m (189)
E ... -29.44 eV per cell
Theoretical density ... 7.3 g/cm³

Structure (POSCAR):
```
PrMgTl
1.0
7.802 0.000 0.000
-3.901 6.756 0.000
0.000 0.000 4.797
Pr Mg Tl
3 3 3
Cartesian
-2.244 3.886 0.000 Pr
1.657 2.871 0.000 Pr
4.487 0.000 0.000 Pr
-0.950 1.646 2.399 Mg
1.901 0.000 2.399 Mg
2.951 5.111 2.399 Mg
0.000 0.000 0.000 Tl
0.000 4.504 2.399 Tl
3.901 2.252 2.399 Tl
```


7.
Density functional theory data (GGA-PBE) for a relaxed VFe4 crystal.

Summary:
Space group ... Fmmm (69)
E ... -43.18 eV per cell
Theoretical density ... 7.8 g/cm³

Structure (POSCAR):
```
VFe4
1.0
0.000 2.015 10.063
1.443 0.000 10.063
1.443 2.015 0.000
V Fe
1 4
Cartesian
0.000 0.000 0.000 V
1.443 2.015 4.021 Fe
1.443 2.015 8.035 Fe
1.443 2.015 12.092 Fe
1.443 2.015 16.106 Fe
```